Record 1
Here is an optimized crystal structure of Na10La4Nb4Si9S3O48 from the Materials Project. Energies are from PBE.

CIF file:
```
data_Na10La4Nb4Si9S3O48
_chemical_formula_sum 'Na30 La12 Nb12 Si27 S9 O144'
_symmetry_space_group_name_H-M 'P 1'
_symmetry_Int_Tables_number 1
_cell_length_a 9.424
_cell_length_b 16.490
_cell_length_c 23.043
_cell_angle_alpha 88.17
_cell_angle_beta 89.70
_cell_angle_gamma 89.82
loop_
_symmetry_equiv_pos_as_xyz
'x,y,z'
loop_
_atom_site_label
_atom_site_type_symbol
_atom_site_fract_x
_atom_site_fract_y
_atom_site_fract_z
Na1 Na 0.000 0.000 0.000
Na2 Na 0.002 0.337 0.331
Na3 Na 0.011 0.362 0.992
Na4 Na 0.022 0.024 0.659
Na5 Na 0.030 0.667 0.005
Na6 Na 0.166 0.862 0.411
Na7 Na 0.173 0.511 0.584
Na8 Na 0.198 0.865 0.915
Na9 Na 0.208 0.191 0.255
Na10 Na 0.212 0.200 0.751
Na11 Na 0.226 0.525 0.086
Na12 Na 0.349 0.667 0.502
Na13 Na 0.351 0.362 0.500
Na14 Na 0.360 0.021 0.158
Na15 Na 0.377 0.000 0.500
Na16 Na 0.381 0.692 0.826
Na17 Na 0.502 0.837 0.330
Na18 Na 0.523 0.524 0.659
Na19 Na 0.533 0.857 0.999
Na20 Na 0.667 0.362 0.412
Na21 Na 0.673 0.012 0.582
Na22 Na 0.673 0.369 0.918
Na23 Na 0.699 0.020 0.081
Na24 Na 0.706 0.692 0.252
Na25 Na 0.708 0.696 0.755
Na26 Na 0.848 0.168 0.501
Na27 Na 0.851 0.862 0.500
Na28 Na 0.860 0.524 0.157
Na29 Na 0.866 0.191 0.825
Na30 Na 0.877 0.500 0.501
La1 La 0.174 0.841 0.270
La2 La 0.191 0.185 0.605
La3 La 0.194 0.510 0.932
La4 La 0.194 0.512 0.428
La5 La 0.196 0.182 0.106
La6 La 0.197 0.846 0.771
La7 La 0.675 0.340 0.270
La8 La 0.682 0.011 0.934
La9 La 0.688 0.684 0.104
La10 La 0.691 0.685 0.606
La11 La 0.694 0.012 0.427
La12 La 0.698 0.348 0.772
Nb1 Nb 0.168 0.505 0.234
Nb2 Nb 0.175 0.170 0.897
Nb3 Nb 0.181 0.833 0.563
Nb4 Nb 0.203 0.178 0.402
Nb5 Nb 0.203 0.833 0.062
Nb6 Nb 0.218 0.503 0.734
Nb7 Nb 0.667 0.003 0.233
Nb8 Nb 0.682 0.334 0.563
Nb9 Nb 0.687 0.679 0.903
Nb10 Nb 0.703 0.678 0.402
Nb11 Nb 0.709 0.336 0.067
Nb12 Nb 0.711 0.002 0.733
Si1 Si 0.032 0.325 0.497
Si2 Si 0.054 0.025 0.507
Si3 Si 0.057 0.687 0.169
Si4 Si 0.059 0.356 0.840
Si5 Si 0.323 0.688 0.674
Si6 Si 0.326 0.024 0.007
Si7 Si 0.328 0.355 0.341
Si8 Si 0.380 0.018 0.339
Si9 Si 0.392 0.679 0.002
Si10 Si 0.397 0.349 0.669
Si11 Si 0.484 0.847 0.173
Si12 Si 0.492 0.179 0.502
Si13 Si 0.508 0.521 0.837
Si14 Si 0.532 0.825 0.497
Si15 Si 0.554 0.526 0.506
Si16 Si 0.557 0.855 0.840
Si17 Si 0.558 0.187 0.170
Si18 Si 0.824 0.189 0.674
Si19 Si 0.826 0.525 0.006
Si20 Si 0.827 0.855 0.341
Si21 Si 0.854 0.823 0.999
Si22 Si 0.879 0.518 0.340
Si23 Si 0.892 0.181 0.002
Si24 Si 0.897 0.849 0.670
Si25 Si 0.991 0.679 0.502
Si26 Si 0.992 0.348 0.175
Si27 Si 0.995 0.015 0.839
S1 S 0.020 0.989 0.165
S2 S 0.025 0.654 0.835
S3 S 0.363 0.322 0.000
S4 S 0.363 0.988 0.664
S5 S 0.365 0.658 0.335
S6 S 0.522 0.156 0.833
S7 S 0.525 0.485 0.166
S8 S 0.863 0.487 0.663
S9 S 0.865 0.158 0.336
O1 O 0.006 0.193 0.942
O2 O 0.007 0.525 0.282
O3 O 0.008 0.859 0.611
O4 O 0.020 0.492 0.666
O5 O 0.024 0.159 0.333
O6 O 0.031 0.818 0.007
O7 O 0.057 0.940 0.113
O8 O 0.068 0.074 0.565
O9 O 0.068 0.623 0.894
O10 O 0.068 0.772 0.509
O11 O 0.071 0.261 0.442
O12 O 0.076 0.400 0.901
O13 O 0.076 0.420 0.493
O14 O 0.076 0.599 0.789
O15 O 0.078 0.441 0.176
O16 O 0.080 0.072 0.160
O17 O 0.081 0.740 0.224
O18 O 0.082 0.107 0.839
O19 O 0.082 0.953 0.218
O20 O 0.090 0.736 0.829
O21 O 0.105 0.277 0.169
O22 O 0.108 0.944 0.835
O23 O 0.119 0.616 0.493
O24 O 0.121 0.290 0.551
O25 O 0.126 0.742 0.110
O26 O 0.131 0.086 0.452
O27 O 0.131 0.418 0.785
O28 O 0.146 0.937 0.511
O29 O 0.150 0.598 0.179
O30 O 0.152 0.267 0.845
O31 O 0.230 0.936 0.010
O32 O 0.232 0.270 0.339
O33 O 0.234 0.599 0.680
O34 O 0.253 0.420 0.287
O35 O 0.253 0.747 0.616
O36 O 0.254 0.085 0.951
O37 O 0.260 0.618 0.996
O38 O 0.288 0.275 0.670
O39 O 0.288 0.937 0.333
O40 O 0.290 0.106 0.342
O41 O 0.297 0.395 0.402
O42 O 0.298 0.069 0.066
O43 O 0.298 0.069 0.661
O44 O 0.299 0.404 0.995
O45 O 0.303 0.440 0.673
O46 O 0.303 0.734 0.733
O47 O 0.307 0.604 0.290
O48 O 0.309 0.949 0.718
O49 O 0.311 0.288 0.055
O50 O 0.314 0.743 0.328
O51 O 0.317 0.775 0.008
O52 O 0.321 0.271 0.950
O53 O 0.321 0.631 0.394
O54 O 0.325 0.940 0.612
O55 O 0.354 0.819 0.510
O56 O 0.363 0.159 0.836
O57 O 0.367 0.490 0.168
O58 O 0.367 0.857 0.115
O59 O 0.374 0.195 0.445
O60 O 0.384 0.524 0.777
O61 O 0.388 0.507 0.496
O62 O 0.392 0.831 0.833
O63 O 0.395 0.159 0.164
O64 O 0.397 0.153 0.556
O65 O 0.400 0.852 0.233
O66 O 0.403 0.517 0.891
O67 O 0.467 0.010 0.398
O68 O 0.477 0.663 0.060
O69 O 0.487 0.663 0.664
O70 O 0.491 0.998 0.001
O71 O 0.494 0.338 0.336
O72 O 0.494 0.353 0.725
O73 O 0.506 0.024 0.281
O74 O 0.507 0.692 0.945
O75 O 0.509 0.359 0.610
O76 O 0.521 0.993 0.668
O77 O 0.522 0.328 0.002
O78 O 0.524 0.658 0.332
O79 O 0.565 0.102 0.785
O80 O 0.568 0.574 0.565
O81 O 0.569 0.272 0.510
O82 O 0.569 0.431 0.117
O83 O 0.570 0.761 0.442
O84 O 0.575 0.899 0.901
O85 O 0.576 0.126 0.889
O86 O 0.577 0.239 0.226
O87 O 0.577 0.920 0.492
O88 O 0.577 0.939 0.175
O89 O 0.579 0.453 0.221
O90 O 0.580 0.238 0.825
O91 O 0.588 0.566 0.158
O92 O 0.588 0.611 0.838
O93 O 0.596 0.774 0.171
O94 O 0.614 0.446 0.835
O95 O 0.619 0.115 0.494
O96 O 0.621 0.790 0.551
O97 O 0.625 0.919 0.784
O98 O 0.627 0.247 0.113
O99 O 0.631 0.586 0.452
O100 O 0.646 0.437 0.511
O101 O 0.647 0.768 0.842
O102 O 0.649 0.099 0.179
O103 O 0.732 0.770 0.339
O104 O 0.736 0.099 0.680
O105 O 0.744 0.433 0.014
O106 O 0.752 0.919 0.286
O107 O 0.755 0.247 0.616
O108 O 0.756 0.584 0.950
O109 O 0.770 0.790 0.055
O110 O 0.788 0.105 0.998
O111 O 0.788 0.437 0.332
O112 O 0.788 0.775 0.671
O113 O 0.790 0.606 0.342
O114 O 0.796 0.568 0.660
O115 O 0.797 0.895 0.402
O116 O 0.802 0.235 0.733
O117 O 0.803 0.940 0.674
O118 O 0.805 0.757 0.946
O119 O 0.807 0.272 0.009
O120 O 0.807 0.917 0.992
O121 O 0.809 0.105 0.291
O122 O 0.809 0.449 0.717
O123 O 0.815 0.243 0.329
O124 O 0.816 0.575 0.064
O125 O 0.822 0.131 0.395
O126 O 0.822 0.438 0.612
O127 O 0.854 0.319 0.510
O128 O 0.862 0.993 0.171
O129 O 0.867 0.660 0.834
O130 O 0.872 0.357 0.117
O131 O 0.874 0.695 0.445
O132 O 0.875 0.023 0.781
O133 O 0.888 0.007 0.496
O134 O 0.893 0.660 0.164
O135 O 0.896 0.653 0.556
O136 O 0.897 0.329 0.832
O137 O 0.905 0.348 0.234
O138 O 0.908 0.017 0.898
O139 O 0.967 0.509 0.399
O140 O 0.988 0.163 0.666
O141 O 0.993 0.504 0.996
O142 O 0.993 0.838 0.336
O143 O 0.993 0.855 0.725
O144 O 0.996 0.174 0.055
```

Computed properties:
The value obtained for the total magnetization is 0.0 μB per formula unit. The value obtained for the total energy is -1680.0 eV/cell.

=====

Record 2
Here is an optimized crystal structure of Dy2MgS4 from the Materials Project. Energies are from PBE.

CIF file:
```
data_Dy2MgS4
_chemical_formula_sum 'Dy8 Mg4 S16'
_symmetry_space_group_name_H-M 'I -4 2 d'
_symmetry_Int_Tables_number 122
_symmetry_space_group_name_Hall 'I -4 2bw'
_cell_length_a 8.187
_cell_length_b 8.187
_cell_length_c 8.511
_cell_angle_alpha 90.00
_cell_angle_beta 90.00
_cell_angle_gamma 90.00
loop_
_atom_site_label
_atom_site_type_symbol
_atom_site_fract_x
_atom_site_fract_y
_atom_site_fract_z
Dy1 Dy 0.132 0.250 0.125
Mg1 Mg 0.000 0.000 0.500
S1 S 0.067 0.195 0.811
```

Computed properties:
As for the energy above the most stable polymorph in this dataset: 71 meV/atom. The value obtained for the total magnetization is 0.0 μB per formula unit.

=====

Record 3
Here is an optimized crystal structure of KLiYF5 from the Materials Project. Energies are from PBE.

CIF file:
```
data_KLiYF5
_chemical_formula_sum 'K8 Li8 Y8 F40'
_symmetry_space_group_name_H-M 'P 1 21/c 1'
_symmetry_Int_Tables_number 14
_cell_length_a 6.484
_cell_length_b 24.140
_cell_length_c 6.430
_cell_angle_alpha 90.00
_cell_angle_beta 113.59
_cell_angle_gamma 90.00
loop_
_symmetry_equiv_pos_as_xyz
'x,y,z'
'-x,-y,-z'
'-x,y+1/2,-z+1/2'
'x,-y+1/2,z+1/2'
loop_
_atom_site_label
_atom_site_type_symbol
_atom_site_fract_x
_atom_site_fract_y
_atom_site_fract_z
K1 K 0.167 0.201 0.467
K2 K 0.256 0.050 0.541
Li1 Li 0.220 0.502 0.552
Li2 Li 0.343 0.750 0.463
Y1 Y 0.102 0.626 0.681
Y2 Y 0.466 0.626 0.316
F1 F 0.019 0.532 0.690
F2 F 0.077 0.713 0.779
F3 F 0.117 0.612 0.045
F4 F 0.168 0.124 0.173
F5 F 0.256 0.677 0.470
F6 F 0.263 0.131 0.830
F7 F 0.315 0.573 0.531
F8 F 0.455 0.637 0.952
F9 F 0.467 0.037 0.244
F10 F 0.497 0.221 0.231
```

Computed properties:
The value obtained for the total magnetization is 0.0 μB per formula unit. The value obtained for the total energy is -376.7 eV/cell.

=====

Record 4
Here is an optimized crystal structure of Li6TeN4 from the Materials Project. Energies are from PBE.

CIF file:
```
data_Li6TeN4
_chemical_formula_sum 'Li12 Te2 N8'
_symmetry_space_group_name_H-M 'P 42/n m c'
_symmetry_Int_Tables_number 137
_cell_length_a 6.826
_cell_length_b 6.826
_cell_length_c 4.943
_cell_angle_alpha 90.00
_cell_angle_beta 90.00
_cell_angle_gamma 90.00
loop_
_symmetry_equiv_pos_as_xyz
'x,y,z'
'-x,-y,-z'
'-y+1/2,x,z+1/2'
'y+1/2,-x,-z+1/2'
'-x+1/2,-y+1/2,z'
'x+1/2,y+1/2,-z'
'y,-x+1/2,z+1/2'
'-y,x+1/2,-z+1/2'
'x+1/2,-y,-z'
'-x+1/2,y,z'
'-y,-x,-z+1/2'
'y,x,z+1/2'
'-x,y+1/2,-z'
'x,-y+1/2,z'
'y+1/2,x+1/2,-z+1/2'
'-y+1/2,-x+1/2,z+1/2'
loop_
_atom_site_label
_atom_site_type_symbol
_atom_site_fract_x
_atom_site_fract_y
_atom_site_fract_z
Li1 Li 0.037 0.537 0.250
Li2 Li 0.250 0.250 0.175
Te1 Te 0.250 0.750 0.750
N1 N 0.001 0.750 0.549
```

Computed properties:
The value obtained for the total magnetization is 0.0 μB per formula unit. The value obtained for the total energy is -103.1 eV/cell.

=====

Record 5
Here is an optimized crystal structure of US2O9 from the Materials Project. Energies are from PBE.

CIF file:
```
data_US2O9
_chemical_formula_sum 'U8 S16 O72'
_symmetry_space_group_name_H-M 'P c a 21'
_symmetry_Int_Tables_number 29
_cell_length_a 11.127
_cell_length_b 8.288
_cell_length_c 16.841
_cell_angle_alpha 90.00
_cell_angle_beta 90.00
_cell_angle_gamma 90.00
loop_
_symmetry_equiv_pos_as_xyz
'x,y,z'
'-x,-y,z+1/2'
'-x+1/2,y,z+1/2'
'x+1/2,-y,z'
loop_
_atom_site_label
_atom_site_type_symbol
_atom_site_fract_x
_atom_site_fract_y
_atom_site_fract_z
U1 U 0.046 0.037 0.000
U2 U 0.194 0.467 0.228
S1 S 0.040 0.203 0.685
S2 S 0.055 0.570 0.427
S3 S 0.204 0.081 0.805
S4 S 0.223 0.703 0.539
O1 O 0.001 0.732 0.417
O2 O 0.002 0.469 0.486
O3 O 0.013 0.083 0.625
O4 O 0.064 0.102 0.765
O5 O 0.065 0.699 0.206
O6 O 0.069 0.075 0.451
O7 O 0.078 0.345 0.187
O8 O 0.081 0.498 0.350
O9 O 0.114 0.793 0.559
O10 O 0.148 0.296 0.668
O11 O 0.162 0.151 0.046
O12 O 0.168 0.011 0.881
O13 O 0.173 0.802 0.019
O14 O 0.191 0.587 0.771
O15 O 0.198 0.611 0.456
O16 O 0.229 0.981 0.252
O17 O 0.247 0.248 0.814
O18 O 0.249 0.577 0.097
```

Computed properties:
As for the energy above the most stable polymorph in this dataset: 0 meV/atom. The value obtained for the total magnetization is 0.0 μB per formula unit.